(1)
CaMg6Ga: relaxed, GGA-PBE.

a = 5.093 Å, b = 6.618 Å, c = 11.333 Å
α = 90.00°, β = 90.00°, γ = 90.00°
Atoms (fractional coordinates):
Ca 0.000 0.500 0.673
Ca 0.000 0.000 0.173
Mg 0.000 0.257 0.919
Mg 0.000 0.743 0.919
Mg 0.000 0.500 0.164
Mg 0.500 0.261 0.079
Mg 0.500 0.739 0.079
Mg 0.500 0.500 0.333
Mg 0.000 0.757 0.419
Mg 0.000 0.243 0.419
Mg 0.000 0.000 0.664
Mg 0.500 0.761 0.579
Mg 0.500 0.239 0.579
Mg 0.500 0.000 0.833
Ga 0.500 0.500 0.835
Ga 0.500 0.000 0.335

Properties
ΔE_f = -0.038 eV/atom

(2)
CaMg6Ga: relaxed, GGA-PBE.

a = 5.152 Å, b = 6.364 Å, c = 11.608 Å
α = 90.00°, β = 90.00°, γ = 90.00°
Atoms (fractional coordinates):
Ca 0.500 0.500 0.672
Ca 0.500 0.000 0.172
Mg 0.500 0.748 0.920
Mg 0.500 0.252 0.920
Mg 0.000 0.240 0.581
Mg 0.000 0.760 0.581
Mg 0.000 0.500 0.840
Mg 0.000 0.000 0.827
Mg 0.500 0.248 0.420
Mg 0.500 0.752 0.420
Mg 0.000 0.740 0.081
Mg 0.000 0.260 0.081
Mg 0.000 0.000 0.340
Mg 0.000 0.500 0.327
Ga 0.500 0.000 0.659
Ga 0.500 0.500 0.159

Properties
ΔE_f = -0.038 eV/atom

(3)
CaGa2N2: relaxed, GGA-PBE.

a = 5.887 Å, b = 9.852 Å, c = 5.712 Å
α = 90.00°, β = 105.72°, γ = 90.00°
Atoms (fractional coordinates):
Ca 0.056 0.127 0.233
Ca 0.056 0.373 0.733
Ca 0.944 0.627 0.267
Ca 0.944 0.873 0.767
Ga 0.328 0.623 0.893
Ga 0.328 0.877 0.393
Ga 0.420 0.131 0.945
Ga 0.420 0.369 0.445
Ga 0.580 0.631 0.555
Ga 0.580 0.869 0.055
Ga 0.672 0.123 0.607
Ga 0.672 0.377 0.107
N 0.282 0.531 0.560
N 0.282 0.969 0.060
N 0.354 0.199 0.602
N 0.354 0.301 0.102
N 0.646 0.699 0.898
N 0.646 0.801 0.398
N 0.718 0.031 0.940
N 0.718 0.469 0.440

Properties
Energy with MP2020 corrections = -109.22 eV for the cell shown
Symmetry = P2_1/c (14)
ΔE_f = -0.514 eV/atom

(4)
Ca3Ga3N5: relaxed, GGA-PBE.

a = 5.910 Å, b = 6.883 Å, c = 8.476 Å
α = 107.48°, β = 105.46°, γ = 95.17°
Atoms (fractional coordinates):
Ca 0.155 0.137 0.197
Ca 0.159 0.365 0.878
Ca 0.318 0.912 0.607
Ca 0.682 0.088 0.393
Ca 0.841 0.635 0.122
Ca 0.845 0.863 0.803
Ga 0.212 0.444 0.563
Ga 0.365 0.633 0.284
Ga 0.406 0.811 0.969
Ga 0.594 0.189 0.031
Ga 0.635 0.367 0.716
Ga 0.788 0.556 0.437
N 0.104 0.568 0.382
N 0.215 0.729 0.097
N 0.256 0.030 0.890
N 0.350 0.195 0.509
N 0.470 0.605 0.779
N 0.530 0.395 0.221
N 0.650 0.805 0.491
N 0.744 0.970 0.110
N 0.785 0.271 0.903
N 0.896 0.432 0.618

Properties
Energy with MP2020 corrections = -131.67 eV for the cell shown
Symmetry = P-1 (2)
ΔE_f = -0.823 eV/atom

(5)
Na5Ca2Ga2P3S3O24: relaxed, GGA-PBE.

a = 9.060 Å, b = 9.090 Å, c = 22.478 Å
α = 88.35°, β = 88.16°, γ = 60.42°
Atoms (fractional coordinates):
Na 0.000 0.000 0.000
Na 0.001 0.991 0.502
Na 0.312 0.328 0.832
Na 0.316 0.362 0.332
Na 0.321 0.647 0.751
Na 0.328 0.019 0.245
Na 0.627 0.695 0.167
Na 0.631 0.049 0.408
Na 0.639 0.316 0.914
Na 0.649 0.696 0.665
Na 0.662 0.350 0.578
Na 0.937 0.349 0.078
Na 0.966 0.381 0.742
Na 0.984 0.315 0.419
Na 0.990 0.680 0.910
Ca 0.298 0.346 0.681
Ca 0.306 0.346 0.184
Ca 0.613 0.691 0.020
Ca 0.627 0.683 0.517
Ca 0.964 0.013 0.348
Ca 0.968 0.014 0.850
Ga 0.284 0.343 0.980
Ga 0.299 0.336 0.481
Ga 0.624 0.692 0.319
Ga 0.648 0.658 0.816
Ga 0.959 0.024 0.653
Ga 0.963 0.003 0.149
P 0.007 0.328 0.584
P 0.277 0.059 0.087
P 0.335 0.989 0.415
P 0.342 0.661 0.914
P 0.614 0.397 0.417
P 0.669 0.321 0.750
P 0.677 0.993 0.251
P 0.935 0.387 0.918
P 0.948 0.729 0.750
S 0.008 0.650 0.080
S 0.268 0.723 0.247
S 0.271 0.997 0.746
S 0.279 0.652 0.581
S 0.605 0.053 0.580
S 0.611 0.325 0.079
S 0.614 0.983 0.914
S 0.936 0.664 0.414
S 0.945 0.325 0.247
O 0.083 0.346 0.640
O 0.092 0.543 0.131
O 0.098 0.345 0.242
O 0.100 0.547 0.742
O 0.103 0.051 0.090
O 0.105 0.502 0.417
O 0.109 0.573 0.023
O 0.115 0.377 0.919
O 0.121 0.309 0.525
O 0.124 0.821 0.583
O 0.152 0.024 0.411
O 0.159 0.805 0.909
O 0.171 0.797 0.302
O 0.172 0.023 0.801
O 0.180 0.977 0.694
O 0.181 0.836 0.194
O 0.243 0.187 0.032
O 0.267 0.555 0.530
O 0.290 0.138 0.144
O 0.292 0.552 0.242
O 0.293 0.147 0.740
O 0.300 0.561 0.638
O 0.329 0.168 0.418
O 0.338 0.486 0.920
O 0.422 0.883 0.469
O 0.425 0.685 0.967
O 0.427 0.883 0.080
O 0.434 0.667 0.576
O 0.437 0.719 0.249
O 0.437 0.837 0.748
O 0.446 0.908 0.356
O 0.447 0.381 0.422
O 0.457 0.156 0.918
O 0.457 0.635 0.855
O 0.486 0.356 0.745
O 0.497 0.144 0.244
O 0.503 0.135 0.632
O 0.507 0.347 0.132
O 0.523 0.159 0.524
O 0.528 0.315 0.023
O 0.593 0.517 0.362
O 0.597 0.898 0.861
O 0.631 0.881 0.577
O 0.641 0.883 0.968
O 0.646 0.469 0.076
O 0.651 0.459 0.474
O 0.660 0.826 0.254
O 0.665 0.499 0.751
O 0.745 0.225 0.807
O 0.747 0.012 0.309
O 0.764 0.010 0.908
O 0.766 0.216 0.408
O 0.773 0.050 0.582
O 0.781 0.164 0.083
O 0.781 0.714 0.754
O 0.785 0.233 0.694
O 0.788 0.493 0.251
O 0.798 0.972 0.196
O 0.826 0.478 0.578
O 0.833 0.473 0.974
O 0.838 0.665 0.077
O 0.838 0.687 0.469
O 0.849 0.641 0.362
O 0.852 0.504 0.861
O 0.929 0.848 0.695
O 0.932 0.235 0.194
O 0.949 0.214 0.913
O 0.960 0.812 0.407
O 0.971 0.223 0.302
O 0.983 0.793 0.807
O 0.993 0.159 0.587
O 0.994 0.821 0.084

Properties
Energy with MP2020 corrections = -778.18 eV for the cell shown
Symmetry = P1 (1)
ΔE_f = -2.444 eV/atom

(6)
NaCaGa3S6O24: relaxed, GGA-PBE.

a = 8.612 Å, b = 8.612 Å, c = 22.490 Å
α = 90.00°, β = 90.00°, γ = 120.00°
Atoms (fractional coordinates):
Na 0.000 0.000 0.000
Na 0.000 0.000 0.500
Na 0.333 0.667 0.168
Ca 0.000 0.000 0.149
Ca 0.333 0.667 0.018
Ca 0.333 0.667 0.523
Ga 0.000 0.000 0.347
Ga 0.000 0.000 0.651
Ga 0.000 0.000 0.848
Ga 0.333 0.667 0.321
Ga 0.333 0.667 0.815
Ga 0.667 0.333 0.190
Ga 0.667 0.333 0.481
Ga 0.667 0.333 0.689
Ga 0.667 0.333 0.978
S 0.002 0.293 0.750
S 0.002 0.698 0.253
S 0.032 0.364 0.415
S 0.033 0.668 0.914
S 0.291 0.998 0.750
S 0.302 0.304 0.253
S 0.332 0.365 0.914
S 0.332 0.968 0.415
S 0.378 0.321 0.587
S 0.389 0.056 0.084
S 0.635 0.967 0.914
S 0.636 0.668 0.415
S 0.667 0.611 0.084
S 0.679 0.057 0.587
S 0.696 0.998 0.253
S 0.707 0.709 0.750
S 0.943 0.622 0.587
S 0.944 0.333 0.084
O 0.010 0.182 0.405
O 0.011 0.829 0.904
O 0.038 0.213 0.697
O 0.042 0.806 0.199
O 0.116 0.481 0.362
O 0.119 0.635 0.861
O 0.119 0.642 0.582
O 0.122 0.495 0.083
O 0.140 0.709 0.968
O 0.141 0.433 0.469
O 0.162 0.677 0.263
O 0.163 0.471 0.760
O 0.171 0.182 0.904
O 0.172 0.990 0.405
O 0.175 0.962 0.697
O 0.194 0.237 0.199
O 0.196 0.153 0.592
O 0.212 0.036 0.803
O 0.212 0.040 0.084
O 0.216 0.185 0.305
O 0.291 0.431 0.968
O 0.292 0.859 0.469
O 0.308 0.837 0.760
O 0.323 0.486 0.263
O 0.358 0.477 0.582
O 0.365 0.484 0.861
O 0.365 0.884 0.362
O 0.374 0.878 0.083
O 0.455 0.290 0.531
O 0.470 0.159 0.742
O 0.475 0.157 0.028
O 0.480 0.319 0.246
O 0.487 0.345 0.640
O 0.491 0.142 0.139
O 0.494 0.348 0.921
O 0.496 0.147 0.423
O 0.505 0.626 0.083
O 0.514 0.838 0.263
O 0.516 0.881 0.861
O 0.519 0.635 0.362
O 0.523 0.881 0.582
O 0.529 0.692 0.760
O 0.567 0.708 0.469
O 0.569 0.860 0.968
O 0.651 0.504 0.423
O 0.651 0.509 0.139
O 0.652 0.146 0.921
O 0.655 0.142 0.640
O 0.681 0.161 0.246
O 0.683 0.525 0.028
O 0.689 0.530 0.742
O 0.710 0.166 0.531
O 0.763 0.958 0.199
O 0.787 0.825 0.697
O 0.815 0.031 0.305
O 0.818 0.828 0.405
O 0.818 0.989 0.904
O 0.824 0.788 0.803
O 0.829 0.788 0.084
O 0.834 0.545 0.531
O 0.839 0.520 0.246
O 0.841 0.311 0.742
O 0.843 0.317 0.028
O 0.847 0.043 0.592
O 0.853 0.349 0.423
O 0.854 0.506 0.921
O 0.858 0.349 0.139
O 0.858 0.513 0.640
O 0.957 0.804 0.592
O 0.960 0.171 0.084
O 0.964 0.176 0.803
O 0.969 0.784 0.305

Properties
Energy with MP2020 corrections = -684.74 eV for the cell shown
Symmetry = P3 (143)
ΔE_f = -2.065 eV/atom

Number 1: calculated density 2.22 Mg/m³. Number 2: calculated density 2.23 Mg/m³. Number 3: calculated density 4.32 Mg/m³. Number 4: calculated density 4.26 Mg/m³. Number 5: calculated density 2.81 Mg/m³. Number 6: calculated density 2.93 Mg/m³.